#i
Material: MgFe6O6F6
Method: DFT, GGA+U
State: relaxed

Cell and atoms, written as POSCAR:
```
MgFe6O6F6
1.0
-2.646 4.519 0.811
0.426 -0.973 5.259
7.946 3.721 0.485
Fe F O Mg
6 6 6 1
direct
0.044 0.073 0.330
0.952 0.908 0.993
0.391 0.567 0.494
0.590 0.426 0.196
0.439 0.549 0.833
0.085 0.043 0.670
0.671 0.675 0.365
0.224 0.860 0.183
0.322 0.282 0.991
0.846 0.183 0.495
0.827 0.137 0.809
0.650 0.685 0.671
0.789 0.115 0.159
0.291 0.346 0.330
0.183 0.852 0.501
0.231 0.836 0.849
0.665 0.653 0.007
0.294 0.347 0.669
0.479 0.962 0.040
```

The space group is P1 (1). The calculation puts the volume at 248 Å³ per cell.

=====

#ii
Material: MgFe6O6F6
Method: DFT, GGA+U
State: relaxed

Cell and atoms, written as POSCAR:
```
MgFe6O6F6
1.0
5.136 -0.356 0.001
-1.101 14.495 0.002
0.000 0.001 3.037
Fe Mg F O
6 1 6 6
direct
0.006 0.006 0.992
0.029 0.655 0.987
0.388 0.857 0.491
0.998 0.327 0.992
0.516 0.161 0.491
0.510 0.480 0.492
0.528 0.675 0.486
0.808 0.076 0.492
0.642 0.922 0.992
0.208 0.577 0.488
0.884 0.736 0.486
0.159 0.266 0.492
0.836 0.405 0.492
0.307 0.106 0.991
0.660 0.575 0.988
0.326 0.418 0.992
0.116 0.940 0.492
0.692 0.240 0.991
0.374 0.744 0.987
```

The space group is P1 (1). The calculation puts the volume at 225 Å³ per cell.

=====

Most stable: #ii. Least stable: #i.

=====

#i
Material: MgFe6O6F6
Method: DFT, GGA+U
State: relaxed

Cell and atoms, written as POSCAR:
```
MgFe6O6F6
1.0
5.140 0.029 0.033
0.083 14.801 -0.054
0.018 -0.011 3.069
Mg Fe O F
1 6 6 6
direct
0.526 0.001 0.998
0.515 0.229 0.509
0.014 0.661 0.021
0.022 0.351 0.012
0.057 0.913 0.001
0.443 0.801 0.509
0.445 0.507 0.513
0.192 0.776 0.026
0.187 0.607 0.516
0.304 0.444 0.013
0.183 0.286 0.507
0.707 0.269 0.007
0.293 0.947 0.514
0.767 0.712 0.526
0.818 0.421 0.513
0.421 0.130 0.003
0.683 0.868 0.998
0.777 0.017 0.484
0.671 0.567 0.016
```

The space group is P1 (1). The calculation puts the volume at 233 Å³ per cell.

=====

#ii
Material: MgFe6O6F6
Method: DFT, GGA+U
State: relaxed

Cell and atoms, written as POSCAR:
```
MgFe6O6F6
1.0
-2.019 3.898 2.841
-12.315 -4.903 -6.082
-0.395 -1.909 2.334
Fe F O Mg
6 6 6 1
direct
0.452 0.829 0.489
0.075 0.984 0.988
0.423 0.532 0.486
0.582 0.136 0.488
0.942 0.681 0.988
0.020 0.329 0.002
0.690 0.910 0.988
0.759 0.387 0.485
0.287 0.272 0.487
0.759 0.757 0.488
0.877 0.062 0.489
0.122 0.595 0.487
0.200 0.926 0.488
0.727 0.227 0.987
0.368 0.089 0.988
0.286 0.767 0.989
0.623 0.582 0.986
0.299 0.433 0.986
0.523 0.335 0.982
```

The space group is P1 (1). The calculation puts the volume at 229 Å³ per cell.

=====

#iii
Material: MgFe6O6F6
Method: DFT, GGA+U
State: relaxed

Cell and atoms, written as POSCAR:
```
MgFe6O6F6
1.0
5.224 0.225 0.157
0.224 5.307 -0.005
0.293 -0.015 8.809
F O Mg Fe
6 6 1 6
direct
0.841 0.202 0.531
0.158 0.754 0.157
0.666 0.704 0.665
0.288 0.347 0.007
0.302 0.346 0.341
0.814 0.184 0.834
0.195 0.851 0.839
0.823 0.146 0.166
0.688 0.666 0.984
0.333 0.360 0.671
0.217 0.848 0.501
0.728 0.615 0.335
0.031 0.428 0.204
0.472 0.566 0.501
0.919 0.933 0.361
0.556 0.460 0.159
0.451 0.566 0.835
0.120 0.082 0.668
0.911 0.929 0.990
```

The space group is P1 (1). The calculation puts the volume at 243 Å³ per cell.

=====

Most stable: #i. Least stable: #iii.

=====

#i
Material: MgMn3VO8
Method: DFT, GGA+U
State: relaxed

Cell and atoms, written as POSCAR:
```
MgMn3VO8
1.0
10.564 -0.045 0.015
8.845 5.693 0.023
14.137 4.117 2.593
O Mn V Mg
8 3 1 1
direct
0.999 0.494 0.272
0.000 0.952 0.295
0.000 0.048 0.705
0.451 0.495 0.300
0.549 0.042 0.203
0.001 0.506 0.728
0.549 0.505 0.700
0.451 0.958 0.797
0.000 0.500 0.000
0.500 0.000 0.000
0.500 0.500 0.000
0.000 0.000 0.000
0.000 0.500 0.500
```

The space group is P-1 (2). The calculation puts the volume at 155 Å³ per cell.

=====

#ii
Material: MgMn3VO8
Method: DFT, GGA+U
State: relaxed

Cell and atoms, written as POSCAR:
```
MgMn3VO8
1.0
-6.433 -1.759 7.925
-6.585 -6.674 4.671
-7.574 -7.069 10.625
O Mn V Mg
8 3 1 1
direct
0.981 0.450 0.308
0.513 0.043 0.224
0.019 0.550 0.692
0.020 0.018 0.706
0.980 0.982 0.294
0.512 0.524 0.241
0.487 0.957 0.776
0.488 0.476 0.759
0.500 0.500 0.000
0.000 0.500 0.000
0.500 0.000 0.000
0.000 0.000 0.000
0.000 0.000 0.500
```

The space group is P-1 (2). The calculation puts the volume at 151 Å³ per cell.

=====

Most stable: #i. Least stable: #ii.

=====

#i
Material: Li2FeSi6O15
Method: DFT, GGA+U
State: relaxed

Cell and atoms, written as POSCAR:
```
Li2FeSi6O15
1.0
-11.862 -4.022 -2.102
2.182 -6.638 0.391
-0.345 -2.664 7.043
Si O Li Fe
12 30 4 2
direct
0.654 0.002 0.975
0.488 0.696 0.911
0.837 0.494 0.524
0.333 0.965 0.313
0.659 0.462 0.808
0.833 0.035 0.687
0.990 0.693 0.706
0.988 0.304 0.089
0.337 0.506 0.476
0.159 0.538 0.192
0.490 0.307 0.294
0.154 0.998 0.025
0.224 0.552 0.004
0.868 0.264 0.673
0.062 0.366 0.241
0.562 0.634 0.759
0.432 0.350 0.471
0.316 0.487 0.692
0.261 0.069 0.116
0.764 0.042 0.505
0.055 0.148 0.018
0.960 0.514 0.910
0.114 0.708 0.662
0.443 0.092 0.288
0.884 0.175 0.190
0.460 0.486 0.090
0.264 0.958 0.495
0.816 0.513 0.308
0.230 0.433 0.389
0.724 0.448 0.996
0.761 0.931 0.884
0.943 0.908 0.712
0.730 0.567 0.611
0.614 0.292 0.338
0.116 0.767 0.168
0.692 0.982 0.186
0.384 0.825 0.810
0.616 0.233 0.832
0.555 0.852 0.982
0.368 0.736 0.327
0.192 0.018 0.814
0.932 0.650 0.529
0.830 0.827 0.163
0.330 0.173 0.837
0.661 0.853 0.458
0.161 0.147 0.542
0.250 0.737 0.752
0.750 0.263 0.248
```

The space group is P2_1 (4). The calculation puts the volume at 622 Å³ per cell.

=====

#ii
Material: Li2FeSi6O15
Method: DFT, GGA+U
State: relaxed

Cell and atoms, written as POSCAR:
```
Li2FeSi6O15
1.0
7.301 0.158 0.067
-3.759 4.666 5.259
-1.631 -10.139 6.112
O Si Fe Li
30 12 2 4
direct
0.625 0.279 0.895
0.500 0.500 0.000
0.133 0.666 0.685
0.743 0.390 0.557
0.257 0.110 0.943
0.257 0.610 0.443
0.606 0.772 0.614
0.867 0.334 0.315
0.018 0.533 0.161
0.394 0.228 0.386
0.952 0.706 0.472
0.133 0.167 0.185
0.263 0.905 0.246
0.952 0.206 0.973
0.018 0.033 0.661
0.500 0.000 0.500
0.737 0.595 0.254
0.982 0.467 0.839
0.263 0.405 0.746
0.606 0.272 0.114
0.375 0.221 0.605
0.625 0.779 0.395
0.048 0.294 0.528
0.394 0.728 0.886
0.743 0.890 0.057
0.867 0.833 0.815
0.375 0.721 0.105
0.982 0.967 0.339
0.737 0.095 0.754
0.048 0.794 0.027
0.198 0.569 0.785
0.509 0.208 0.510
0.802 0.931 0.715
0.802 0.431 0.215
0.491 0.292 0.990
0.198 0.069 0.285
0.173 0.241 0.630
0.827 0.259 0.870
0.827 0.759 0.370
0.509 0.708 0.010
0.173 0.741 0.130
0.491 0.792 0.490
0.000 0.000 0.000
0.000 0.500 0.500
0.827 0.072 0.215
0.173 0.428 0.285
0.827 0.572 0.715
0.173 0.928 0.785
```

The calculation puts the volume at 603 Å³ per cell.

=====

Most stable: #i. Least stable: #ii.

=====

#i
Material: Li2VC2O6
Method: DFT, GGA+U
State: relaxed

Cell and atoms, written as POSCAR:
```
Li2VC2O6
1.0
-1.838 -0.277 5.914
3.728 8.388 -0.984
-8.086 2.155 -0.439
O C Li V
24 8 8 4
direct
0.868 0.629 0.656
0.105 0.867 0.424
0.187 0.425 0.698
0.368 0.129 0.656
0.063 0.824 0.802
0.895 0.132 0.576
0.145 0.383 0.076
0.882 0.120 0.844
0.117 0.880 0.156
0.617 0.380 0.156
0.395 0.632 0.576
0.605 0.367 0.424
0.813 0.575 0.302
0.645 0.883 0.076
0.382 0.620 0.844
0.437 0.676 0.198
0.563 0.324 0.802
0.313 0.075 0.302
0.355 0.117 0.924
0.687 0.925 0.698
0.632 0.871 0.344
0.133 0.371 0.344
0.855 0.617 0.924
0.937 0.176 0.198
0.323 0.559 0.706
0.573 0.810 0.206
0.677 0.441 0.294
0.823 0.059 0.706
0.927 0.691 0.794
0.177 0.941 0.294
0.073 0.309 0.206
0.427 0.191 0.794
0.733 0.089 0.392
0.017 0.661 0.108
0.233 0.589 0.392
0.483 0.839 0.892
0.767 0.411 0.608
0.517 0.161 0.108
0.267 0.911 0.608
0.983 0.339 0.892
0.000 0.000 0.000
0.500 0.500 0.000
0.750 0.750 0.500
0.250 0.250 0.500
```

The calculation puts the volume at 449 Å³ per cell.

=====

#ii
Material: Li2VC2O6
Method: DFT, GGA+U
State: relaxed

Cell and atoms, written as POSCAR:
```
Li2VC2O6
1.0
1.768 0.000 4.922
-7.542 0.000 0.268
-0.001 -15.328 0.000
O C Li V
24 8 8 4
direct
0.499 0.257 0.180
0.000 0.757 0.070
0.000 0.758 0.571
0.594 0.905 0.946
0.923 0.832 0.877
0.577 0.668 0.627
0.423 0.332 0.373
0.578 0.668 0.127
0.406 0.095 0.054
0.923 0.832 0.377
0.000 0.242 0.429
0.000 0.243 0.930
0.095 0.405 0.304
0.594 0.905 0.446
0.422 0.332 0.873
0.078 0.168 0.123
0.094 0.405 0.804
0.905 0.595 0.696
0.077 0.168 0.623
0.500 0.743 0.321
0.406 0.095 0.554
0.906 0.595 0.196
0.500 0.258 0.679
0.500 0.742 0.821
0.671 0.823 0.879
0.829 0.677 0.129
0.829 0.677 0.629
0.171 0.323 0.871
0.329 0.177 0.121
0.329 0.177 0.621
0.671 0.823 0.379
0.171 0.323 0.371
0.394 0.812 0.057
0.105 0.688 0.808
0.894 0.312 0.692
0.606 0.188 0.442
0.605 0.188 0.943
0.394 0.812 0.558
0.894 0.311 0.193
0.106 0.688 0.308
0.500 0.500 0.250
0.500 0.500 0.750
0.000 0.000 0.500
0.000 0.000 0.000
```

The space group is Pc (7). The calculation puts the volume at 576 Å³ per cell.

=====

Most stable: #i. Least stable: #ii.